{
  "formula": "RbVGaP2O10",
  "functional": "GGA+U",
  "state": "optimized geometry",
  "total_energy_ev_per_atom": -6.689,
  "formation_enthalpy_0k_mev_per_atom": -2367,
  "cell": [[-2.6097, -2.7461, -7.2413], [7.5214, -0.2797, -2.6046], [4.6200, -13.0336, 3.2777]],
  "species": ["O", "O", "O", "O", "O", "O", "O", "O", "O", "O", "O", "O", "O", "O", "O", "O", "O", "O", "O", "O", "O", "O", "O", "O", "O", "O", "O", "O", "O", "O", "O", "O", "O", "O", "O", "O", "O", "O", "O", "O", "V", "V", "V", "V", "P", "P", "P", "P", "P", "P", "P", "P", "Rb", "Rb", "Rb", "Rb", "Ga", "Ga", "Ga", "Ga"],
  "fractional_positions": [[0.4881, 0.1803, 0.1030], [0.8340, 0.7148, 0.7968], [0.5949, 0.0689, 0.5695], [0.6161, 0.5502, 0.0814], [0.1168, 0.3401, 0.0053], [0.7852, 0.9825, 0.8723], [0.0119, 0.1803, 0.6030], [0.4326, 0.9620, 0.2598], [0.3711, 0.6186, 0.3711], [0.2364, 0.6019, 0.5382], [0.2636, 0.6019, 0.0382], [0.8839, 0.5502, 0.5814], [0.3832, 0.3401, 0.5053], [0.9741, 0.1385, 0.3927], [0.3839, 0.4498, 0.9186], [0.6660, 0.7148, 0.2968], [0.6289, 0.3814, 0.6289], [0.8711, 0.3814, 0.1289], [0.9051, 0.0689, 0.0695], [0.2148, 0.0175, 0.1277], [0.1660, 0.2852, 0.2032], [0.9881, 0.8197, 0.3970], [0.4051, 0.9311, 0.4305], [0.8832, 0.6599, 0.9947], [0.9326, 0.0380, 0.2402], [0.0949, 0.9311, 0.9305], [0.5674, 0.0380, 0.7402], [0.0259, 0.8615, 0.6073], [0.5259, 0.1385, 0.8927], [0.7636, 0.3981, 0.4618], [0.0674, 0.9620, 0.7598], [0.1289, 0.6186, 0.8711], [0.5119, 0.8197, 0.8970], [0.7364, 0.3981, 0.9618], [0.6168, 0.6599, 0.4947], [0.1161, 0.4498, 0.4186], [0.7148, 0.9825, 0.3723], [0.2852, 0.0175, 0.6277], [0.4741, 0.8615, 0.1073], [0.3340, 0.2852, 0.7032], [0.4497, 0.1984, 0.6323], [0.0503, 0.1984, 0.1323], [0.9497, 0.8016, 0.8677], [0.5503, 0.8016, 0.3677], [0.7793, 0.4958, 0.0408], [0.9002, 0.9959, 0.3507], [0.2793, 0.5042, 0.4592], [0.2207, 0.5042, 0.9592], [0.0998, 0.0041, 0.6493], [0.4002, 0.0041, 0.1493], [0.7207, 0.4958, 0.5408], [0.5998, 0.9959, 0.8507], [0.4631, 0.6802, 0.7068], [0.9631, 0.3198, 0.7932], [0.0369, 0.6802, 0.2068], [0.5369, 0.3198, 0.2932], [0.0386, 0.7201, 0.5260], [0.5386, 0.2799, 0.9740], [0.9614, 0.2799, 0.4740], [0.4614, 0.7201, 0.0260]]
}